No. 1
Computed, not measured: a geometry-optimized ScSi structure at the GGA-PBE level of DFT.

The structure in POSCAR format:
```
ScSi
1.0
2.001 -4.953 0.000
2.001 4.953 0.000
0.000 0.000 3.668
Sc Si
2 2
direct
0.139 0.861 0.750 Sc
0.861 0.139 0.250 Sc
0.419 0.581 0.750 Si
0.581 0.419 0.250 Si
```

Values from the calculation:
Calculated total energy: -26.9 eV per cell
SG: No. 63

No. 2
Computed, not measured: a geometry-optimized Sm2Sc3Si4 structure at the GGA-PBE level of DFT.

The structure in POSCAR format:
```
Sm2Sc3Si4
1.0
7.160 0.000 0.000
0.000 14.141 0.000
0.000 0.000 7.462
Sm Sc Si
8 12 16
direct
0.011 0.097 0.173 Sm
0.011 0.403 0.173 Sm
0.489 0.597 0.673 Sm
0.489 0.903 0.673 Sm
0.511 0.097 0.327 Sm
0.511 0.403 0.327 Sm
0.989 0.597 0.827 Sm
0.989 0.903 0.827 Sm
0.161 0.750 0.501 Sc
0.171 0.125 0.676 Sc
0.171 0.375 0.676 Sc
0.329 0.625 0.176 Sc
0.329 0.875 0.176 Sc
0.339 0.250 0.001 Sc
0.661 0.750 0.999 Sc
0.671 0.125 0.824 Sc
0.671 0.375 0.824 Sc
0.829 0.625 0.324 Sc
0.829 0.875 0.324 Sc
0.839 0.250 0.499 Sc
0.033 0.750 0.123 Si
0.154 0.539 0.463 Si
0.154 0.961 0.463 Si
0.213 0.250 0.380 Si
0.287 0.750 0.880 Si
0.346 0.039 0.963 Si
0.346 0.461 0.963 Si
0.467 0.250 0.623 Si
0.533 0.750 0.377 Si
0.654 0.539 0.037 Si
0.654 0.961 0.037 Si
0.713 0.250 0.120 Si
0.787 0.750 0.620 Si
0.846 0.039 0.537 Si
0.846 0.461 0.537 Si
0.967 0.250 0.877 Si
```

Values from the calculation:
Calculated total energy: -230.1 eV per cell
SG: No. 62

No. 3
Computed, not measured: a geometry-optimized Sm2ScSi2 structure at the GGA-PBE level of DFT.

The structure in POSCAR format:
```
Sm2ScSi2
1.0
7.324 0.000 0.000
0.000 7.324 0.000
0.000 0.000 4.344
Sm Sc Si
4 2 4
direct
0.177 0.323 0.000 Sm
0.323 0.823 0.000 Sm
0.677 0.177 0.000 Sm
0.823 0.677 0.000 Sm
0.000 0.000 0.500 Sc
0.500 0.500 0.500 Sc
0.119 0.619 0.500 Si
0.381 0.119 0.500 Si
0.619 0.881 0.500 Si
0.881 0.381 0.500 Si
```

Values from the calculation:
Calculated total energy: -60.6 eV per cell
SG: No. 127

No. 4
Computed, not measured: a geometry-optimized TbScSi2 structure at the GGA-PBE level of DFT.

The structure in POSCAR format:
```
TbScSi2
1.0
3.774 0.000 0.000
0.000 2.089 5.147
0.000 -2.089 5.147
Tb Sc Si
1 1 2
direct
0.000 0.000 0.000 Tb
0.500 0.279 0.279 Sc
0.000 0.720 0.720 Si
0.500 0.564 0.564 Si
```

Values from the calculation:
Calculated total energy: -25.0 eV per cell
SG: No. 38
Total magnetization: 0.00 μB per formula unit

| no. | energy relative to the elements (eV per atom) |
| --- | --- |
| 1 | -0.8014 |
| 2 | -0.7906 |
| 3 | -0.7062 |
| 4 | -0.7648 |